1.
Below is crystalline MgMn2O4 at its relaxed geometry, with properties calculated at the PBE+U level.

Structure (POSCAR):
```
MgMn2O4
1.0
-3.638 2.599 -2.608
1.115 -2.792 4.214
2.369 8.013 4.682
Mg Mn O
2 4 8
Cartesian
0.013 6.482 3.594 Mg
-0.168 1.338 2.694 Mg
0.647 -1.505 3.633 Mn
-0.801 9.325 2.655 Mn
1.497 1.369 5.312 Mn
-1.651 6.451 0.976 Mn
-1.683 4.513 0.694 O
1.528 3.308 5.594 O
2.173 5.489 6.869 O
-2.328 2.332 -0.581 O
1.505 -0.560 5.095 O
-1.660 8.380 1.193 O
-1.262 -0.096 0.803 O
-0.077 3.910 3.144 O
```

The calculation puts the formation energy at -2.24 eV per atom. As for the magnetic moment: 8.0 μB/f.u. As for the total energy: -7.045 eV per atom.

=====

2.
Below is crystalline K2MgMnH4I4O14 at its relaxed geometry, with properties calculated at the PBE+U level.

Structure (POSCAR):
```
K2MgMnH4I4O14
1.0
-0.211 -8.133 0.265
4.259 4.009 5.398
-4.821 -4.345 6.092
K Mg Mn H I O
2 1 1 4 4 14
Cartesian
-4.550 -9.529 6.024 K
-4.377 -5.407 6.003 K
1.368 -6.137 6.198 Mg
-0.261 -0.779 5.890 Mn
-1.076 -3.579 5.466 H
0.320 -3.402 6.255 H
-1.365 -5.506 5.184 H
-1.094 -6.486 6.918 H
-2.677 -7.671 8.943 I
1.996 0.740 2.963 I
-2.486 -7.555 3.389 I
-1.716 -3.992 2.798 I
-0.445 -6.805 6.245 O
-1.935 -8.981 4.415 O
1.389 -1.284 7.356 O
1.422 -4.383 7.160 O
-2.023 -4.806 4.944 O
-1.193 -7.590 9.973 O
0.282 -7.174 2.221 O
-2.248 -8.890 7.627 O
1.479 -0.362 4.327 O
-0.330 -2.915 5.680 O
0.084 -3.418 9.456 O
3.125 0.951 6.545 O
-2.497 -6.120 7.961 O
1.770 -5.813 4.238 O
```

The calculation puts the formation energy at -1.34 eV per atom. As for the magnetic moment: 5.0 μB/f.u. As for the total energy: -4.830 eV per atom.

=====

3.
Below is crystalline CrO at its relaxed geometry, with properties calculated at the PBE+U level.

Structure (POSCAR):
```
CrO
1.0
-1.261 -1.176 2.575
0.273 -4.313 -5.016
4.349 -4.659 0.214
Cr O
4 4
Cartesian
3.293 -7.057 -0.772 Cr
1.750 -4.136 -2.165 Cr
3.788 -4.312 0.450 Cr
0.983 -2.569 1.630 Cr
-0.513 -3.545 0.623 O
0.256 -5.113 -3.172 O
1.985 -4.336 1.418 O
2.750 -5.904 -2.379 O
```

The calculation puts the formation energy at -1.92 eV per atom. As for the magnetic moment: 0.0 μB/f.u. As for the total energy: -7.882 eV per atom.